*one*
The following is a GGA+U calculation of ThV2O7 after structural relaxation, from the Materials Project.

Results
Magnetization   0.0 Bohr magnetons per cell

Cell: 7.3495 7.1475 23.3655 Å, 90.00 90.00 90.00°
With the nearest neighbours (Å) after each atom.
Space group Pna2_1 (No. 33)
Unique sites:
Th (0.2421, 0.1174, 0.0000) [4 per cell]  7 O 2.27-2.54
Th (0.2467, 0.1046, 0.2876) [4 per cell]  6 O 2.28-2.48
V (0.0072, 0.0695, 0.6428) [4 per cell]  4 O 1.68-1.81
V (0.0268, 0.4574, 0.1382) [4 per cell]  4 O 1.70-1.78
V (0.2476, 0.0649, 0.8299) [4 per cell]  4 O 1.73-1.77
V (0.2483, 0.5765, 0.9577) [4 per cell]  4 O 1.73-1.78
O (0.0284, 0.6654, 0.5783) [4 per cell]  1 V 1.70
O (0.0476, 0.3091, 0.6255) [4 per cell]  2 V 1.78
O (0.0595, 0.4351, 0.9713) [4 per cell]  1 V 1.75
O (0.0628, 0.4327, 0.3098) [4 per cell]  1 V 1.75
O (0.0671, 0.6306, 0.6992) [4 per cell]  1 V 1.70
O (0.0796, 0.9107, 0.8035) [4 per cell]  1 V 1.77
O (0.0847, 0.9220, 0.4860) [4 per cell]  1 V 1.78
O (0.0961, 0.9503, 0.2066) [4 per cell]  1 V 1.68
O (0.1347, 0.0132, 0.0919) [4 per cell]  1 V 1.69
O (0.2232, 0.1098, 0.3849) [4 per cell]  1 V 1.73
O (0.2310, 0.0890, 0.9032) [4 per cell]  1 V 1.73
O (0.2315, 0.9649, 0.6449) [4 per cell]  2 V 1.78-1.81
O (0.2388, 0.2864, 0.8003) [4 per cell]  1 V 1.73
O (0.2423, 0.7922, 0.9916) [4 per cell]  1 V 1.73



*two*
The following is a GGA+U calculation of ThV2O7 after structural relaxation, from the Materials Project.

Results
Magnetization   0.0 Bohr magnetons per cell

Cell: 7.1815 7.3558 23.6068 Å, 90.00 90.00 90.00°
With the nearest neighbours (Å) after each atom.
Space group Pnnm (No. 58)
Unique sites:
Th (0.1403, 0.2423, 0.1447) [8 per cell]  6 O 2.27-2.51
V (0.1180, 0.6842, 0.0000) [4 per cell]  2 O 1.69
V (0.1306, 0.8279, 0.5000) [4 per cell]  4 O 1.68-1.87
V (0.1847, 0.2453, 0.3135) [8 per cell]  4 O 1.70-1.78
O (0.0347, 0.7590, 0.3408) [8 per cell]  1 V 1.70
O (0.0679, 0.7978, 0.0602) [8 per cell]  1 V 1.69
O (0.1237, 0.1157, 0.5000) [4 per cell]  2 V 1.87-1.92
O (0.1283, 0.4234, 0.0000) [4 per cell]  3 V 1.87-1.94
O (0.1599, 0.2469, 0.2408) [8 per cell]  1 V 1.73
O (0.1698, 0.7033, 0.4414) [8 per cell]  1 V 1.68
O (0.1714, 0.5670, 0.1608) [8 per cell]  1 V 1.78
O (0.1760, 0.9324, 0.1648) [8 per cell]  1 V 1.78



Last place for stability: *two*



*one*
The following is a GGA+U calculation of Ti3V2O9 after structural relaxation, from the Materials Project.

Results
Magnetization   16.0 Bohr magnetons per cell

Cell: 18.5764 5.4207 6.9139 Å, 90.00 100.38 90.00°
With the nearest neighbours (Å) after each atom.
Space group C2/c (No. 15)
Unique sites:
Ti (0.0000, 0.0000, 0.0000) [4 per cell]  4 O 1.86-2.00
Ti (0.1985, 0.0805, 0.0355) [8 per cell]  5 O 1.85-2.00
V (0.0730, 0.4622, 0.8891) [8 per cell]  3 O 1.92-2.03
O (0.0000, 0.1854, 0.2500) [4 per cell]  2 Ti 2.00
O (0.0430, 0.3436, 0.6128) [8 per cell]  2 V 2.00-2.03, 1 Ti 2.12
O (0.0916, 0.1320, 0.9875) [8 per cell]  2 Ti 1.86-1.97, 1 V 1.92
O (0.1927, 0.3989, 0.9358) [8 per cell]  2 Ti 1.85-2.00
O (0.1956, 0.1022, 0.3083) [8 per cell]  2 Ti 1.85-1.90



*two*
The following is a GGA+U calculation of Ti3V2O9 after structural relaxation, from the Materials Project.

Results
Magnetization   16.0 Bohr magnetons per cell

Cell: 21.0813 5.3106 6.9418 Å, 90.00 104.85 90.00°
With the nearest neighbours (Å) after each atom.
Space group C2/c (No. 15)
Unique sites:
Ti (0.0000, 0.0000, 0.0000) [4 per cell]  6 O 1.98-2.00
Ti (0.1762, 0.0901, 0.0582) [8 per cell]  4 O 1.81-1.94
V (0.0635, 0.4473, 0.4158) [8 per cell]  4 O 1.88-2.09
O (0.0000, 0.1880, 0.2500) [4 per cell]  2 Ti 2.00, 2 V 2.05
O (0.0215, 0.3380, 0.6195) [8 per cell]  2 V 1.94-2.09, 1 Ti 1.98
O (0.0939, 0.0443, 0.5086) [8 per cell]  2 Ti 1.83-1.98
O (0.1468, 0.4109, 0.0203) [8 per cell]  1 Ti 1.81, 1 V 1.88
O (0.2067, 0.9999, 0.3375) [8 per cell]  2 Ti 1.87-1.94



Last place for stability: *two*



*one*
The following is a GGA+U calculation of TiW2O8 after structural relaxation, from the Materials Project.

Results
Magnetization   0.0 Bohr magnetons per cell

Cell: 5.0471 5.8251 10.5248 Å, 90.00 117.53 90.00°
With the nearest neighbours (Å) after each atom.
Space group P2/c (No. 13)
Unique sites:
Ti (0.0000, 0.1282, 0.2500) [2 per cell]  4 O 1.90-1.93
W (0.2359, 0.3378, 0.9977) [4 per cell]  4 O 1.85-2.02
O (0.1734, 0.3916, 0.6107) [4 per cell]  2 W 1.87-2.08
O (0.2117, 0.1616, 0.1388) [4 per cell]  1 W 1.85, 1 Ti 1.93
O (0.2436, 0.1018, 0.8788) [4 per cell]  1 W 1.87, 1 Ti 1.90
O (0.3166, 0.3855, 0.3931) [4 per cell]  2 W 2.02-2.10, 1 Ti 2.20



*two*
The following is a GGA+U calculation of TiW2O8 after structural relaxation, from the Materials Project.

Results
Magnetization   0.0 Bohr magnetons per cell

Cell: 5.0227 5.2313 6.8871 Å, 108.44 91.69 105.11°
With the nearest neighbours (Å) after each atom.
Space group P-1 (No. 2)
Unique sites:
Ti (0.0000, 0.0000, 0.0000) [1 per cell]  6 O 1.96-2.01
W (0.2546, 0.4731, 0.8200) [2 per cell]  3 O 1.72-1.93
O (0.0928, 0.7715, 0.1548) [2 per cell]  1 W 1.93, 1 Ti 1.96
O (0.1314, 0.7524, 0.7694) [2 per cell]  1 W 1.85, 1 Ti 1.96
O (0.3320, 0.2885, 0.5838) [2 per cell]  1 W 1.72
O (0.3676, 0.2890, 0.0350) [2 per cell]  2 W 2.00-2.14, 1 Ti 2.01



Last place for stability: *two*



*one*
The following is a GGA+U calculation of YTiW2O8 after structural relaxation, from the Materials Project.

Results
Magnetization   3.0 Bohr magnetons per cell

Cell: 5.0664 5.5612 6.1274 Å, 104.84 90.11 107.05°
With the nearest neighbours (Å) after each atom.
Space group P1 (No. 1)
Unique sites:
Y (0.0000, 0.0000, 0.0000) [1 per cell]  3 O 2.09-2.32
Ti (0.4822, 0.9831, 0.5028) [1 per cell]  5 O 1.91-2.07
W (0.2158, 0.4677, 0.6254) [1 per cell]  3 O 1.90-2.12
W (0.7199, 0.5060, 0.3154) [1 per cell]  2 O 1.80-2.00
O (0.1305, 0.6944, 0.4176) [1 per cell]  1 Ti 1.98, 2 W 2.05-2.13
O (0.1575, 0.6848, 0.9035) [1 per cell]  1 W 1.90, 1 Y 2.09
O (0.2782, 0.1628, 0.7238) [1 per cell]  1 Ti 1.95, 1 W 2.04
O (0.3193, 0.2455, 0.3058) [1 per cell]  2 W 2.11-2.19, 1 Y 2.32
O (0.6216, 0.7609, 0.6369) [1 per cell]  1 Ti 1.93
O (0.6725, 0.8163, 0.2313) [1 per cell]  1 W 2.00, 1 Ti 2.07
O (0.7667, 0.2957, 0.0508) [1 per cell]  1 W 1.80
O (0.7867, 0.2928, 0.5302) [1 per cell]  1 Ti 1.91, 2 W 2.07-2.12



*two*
The following is a GGA+U calculation of YTiW2O8 after structural relaxation, from the Materials Project.

Results
Magnetization   6.0 Bohr magnetons per cell

Cell: 5.3494 5.8210 9.7253 Å, 88.92 87.32 89.45°
With the nearest neighbours (Å) after each atom.
Space group P-1 (No. 2)
Unique sites:
Y (0.2440, 0.1588, 0.2569) [2 per cell]  6 O 2.16-2.32
Ti (0.2703, 0.1752, 0.7695) [2 per cell]  4 O 1.90-1.94
W (0.2403, 0.6584, 0.0034) [2 per cell]  6 O 2.02-2.22
W (0.2466, 0.6531, 0.4975) [2 per cell]  5 O 1.87-2.07
O (0.0615, 0.8595, 0.1457) [2 per cell]  1 Ti 1.93, 1 W 2.03
O (0.0649, 0.3909, 0.6147) [2 per cell]  2 W 2.06-2.11, 1 Ti 2.26
O (0.0865, 0.3809, 0.1019) [2 per cell]  2 W 2.02-2.08, 1 Y 2.16
O (0.1276, 0.8787, 0.6190) [2 per cell]  1 W 1.87
O (0.3846, 0.9092, 0.8672) [2 per cell]  1 Ti 1.91, 1 W 2.08
O (0.4162, 0.3963, 0.8812) [2 per cell]  1 Ti 1.90
O (0.4222, 0.3853, 0.4024) [2 per cell]  2 W 2.03-2.07, 1 Y 2.21
O (0.4396, 0.8498, 0.3562) [2 per cell]  1 Ti 1.94, 1 W 2.02



Last place for stability: *one*



*one*
The following is a GGA+U calculation of TiZn2WO6 after structural relaxation, from the Materials Project.

Results
Magnetization   6.0 Bohr magnetons per cell

Cell: 5.2433 5.2433 14.0895 Å, 90.00 90.00 120.00°
With the nearest neighbours (Å) after each atom.
Space group R3 (No. 146, hexagonal axes)
Unique sites:
Ti (0.0000, 0.0000, 0.0000) [3 per cell]  6 O 1.94-2.06
Zn (0.0000, 0.0000, 0.2695) [3 per cell]  3 O 1.97
Zn (0.0000, 0.0000, 0.7814) [3 per cell]  3 O 2.03
W (0.0000, 0.0000, 0.4962) [3 per cell]  6 O 2.06-2.10
O (0.0043, 0.3729, 0.7399) [9 per cell]  1 Ti 1.94, 1 Zn 2.03, 1 W 2.10
O (0.0429, 0.6887, 0.5731) [9 per cell]  1 Zn 1.97, 1 Ti 2.06, 1 W 2.06



*two*
The following is a GGA+U calculation of TiZn2WO6 after structural relaxation, from the Materials Project.

Results
Magnetization   4.0 Bohr magnetons per cell

Cell: 5.2798 5.3087 9.2815 Å, 90.00 123.21 90.00°
With the nearest neighbours (Å) after each atom.
Space group P2_1/c (No. 14)
Unique sites:
Ti (0.0000, 0.0000, 0.0000) [2 per cell]  6 O 1.94-2.06
Zn (0.2527, 0.0313, 0.7465) [4 per cell]  4 O 2.03-2.15
W (0.5000, 0.0000, 0.5000) [2 per cell]  6 O 2.04-2.12
O (0.0944, 0.1871, 0.4310) [4 per cell]  1 Ti 1.94, 1 Zn 2.03, 1 W 2.12
O (0.2558, 0.6740, 0.4341) [4 per cell]  1 Ti 1.99, 1 W 2.04, 1 Zn 2.05
O (0.3617, 0.0780, 0.2448) [4 per cell]  1 Ti 2.06, 2 Zn 2.08-2.15, 1 W 2.10



Last place for stability: *two*